DFT (PBE) results for an optimized crystal structure of GaGe5H6C4NO12.

abc: 7.941 7.941 9.067
angles: 55.37 55.37 71.73
Fractional positions:
O (0.005, 0.278, 0.273)
C (0.095, 0.826, 0.982)
H (0.654, 0.033, 0.190)
C (0.174, 0.905, 0.018)
H (0.229, 0.919, 0.096)
C (0.797, 0.965, 0.186)
C (0.035, 0.203, 0.814)
Ga (0.751, 0.249, 0.500)
O (0.435, 0.284, 0.996)
Ge (0.499, 0.493, 0.255)
Ge (0.249, 0.751, 0.500)
O (0.997, 0.712, 0.576)
Ge (0.507, 0.501, 0.745)
Ge (0.748, 0.756, 0.755)
O (0.555, 0.280, 0.437)
O (0.288, 0.003, 0.424)
H (0.081, 0.771, 0.904)
O (0.716, 0.565, 0.004)
O (0.720, 0.445, 0.563)
O (0.567, 0.718, 0.720)
O (0.284, 0.581, 0.717)
Ge (0.244, 0.252, 0.245)
O (0.419, 0.716, 0.283)
N (0.972, 0.028, 0.000)
O (0.282, 0.433, 0.280)
H (0.130, 0.188, 0.677)
H (0.812, 0.870, 0.323)
H (0.967, 0.346, 0.810)
O (0.722, 0.995, 0.727)

**Energy relative to the elements**: -31.72 eV/f.u.
**Total magnetization**: 0.00 μB/cell

DFT (PBE) results for an optimized crystal structure of GaGe2H5CNO6.

abc: 7.296 7.809 7.807
angles: 113.51 108.64 101.42
Fractional positions:
H (0.510, 0.813, 0.063)
Ga (0.072, 0.744, 0.807)
H (0.593, 0.715, 0.885)
Ga (0.928, 0.256, 0.193)
H (0.490, 0.187, 0.937)
H (0.407, 0.285, 0.115)
N (0.377, 0.244, 0.963)
H (0.650, 0.632, 0.234)
O (0.008, 0.060, 0.238)
O (0.752, 0.313, 0.314)
O (0.869, 0.527, 0.759)
H (0.350, 0.368, 0.766)
Ge (0.244, 0.020, 0.306)
H (0.724, 0.521, 0.030)
Ge (0.279, 0.699, 0.478)
C (0.610, 0.580, 0.069)
C (0.390, 0.420, 0.931)
H (0.276, 0.479, 0.970)
O (0.131, 0.473, 0.241)
O (0.452, 0.259, 0.465)
O (0.548, 0.741, 0.535)
O (0.727, 0.129, 0.914)
Ge (0.721, 0.301, 0.522)
H (0.227, 0.129, 0.865)
O (0.235, 0.912, 0.467)
O (0.248, 0.687, 0.686)
N (0.623, 0.756, 0.037)
H (0.773, 0.871, 0.135)
Ge (0.756, 0.980, 0.694)
O (0.765, 0.088, 0.533)
O (0.992, 0.940, 0.762)
O (0.273, 0.871, 0.086)

**Energy relative to the elements**: -21.68 eV/f.u.
**Total magnetization**: 0.00 μB/cell

DFT (PBE) results for an optimized crystal structure of GaH36C12S6I3O6.

abc: 10.313 10.313 10.313
angles: 65.04 65.04 65.04
Fractional positions:
H (0.998, 0.344, 0.545)
O (0.789, 0.990, 0.084)
C (0.400, 0.150, 0.858)
H (0.800, 0.444, 0.585)
C (0.633, 0.367, 0.108)
H (0.042, 0.858, 0.487)
H (0.650, 0.831, 0.032)
C (0.858, 0.400, 0.150)
H (0.350, 0.169, 0.968)
C (0.142, 0.600, 0.850)
H (0.757, 0.227, 0.556)
H (0.487, 0.042, 0.858)
H (0.002, 0.656, 0.455)
S (0.845, 0.197, 0.745)
H (0.227, 0.556, 0.757)
H (0.656, 0.455, 0.002)
C (0.850, 0.142, 0.600)
C (0.367, 0.633, 0.892)
I (0.248, 0.248, 0.248)
H (0.707, 0.899, 0.414)
H (0.032, 0.650, 0.831)
C (0.367, 0.108, 0.633)
H (0.556, 0.757, 0.227)
O (0.990, 0.084, 0.789)
I (0.500, 0.500, 0.500)
C (0.108, 0.633, 0.367)
H (0.513, 0.958, 0.142)
H (0.958, 0.142, 0.513)
I (0.752, 0.752, 0.752)
H (0.545, 0.998, 0.344)
H (0.444, 0.585, 0.800)
H (0.831, 0.032, 0.650)
C (0.150, 0.858, 0.400)
S (0.197, 0.745, 0.845)
S (0.745, 0.845, 0.197)
H (0.101, 0.586, 0.293)
H (0.169, 0.968, 0.350)
H (0.414, 0.707, 0.899)
H (0.243, 0.773, 0.444)
H (0.968, 0.350, 0.169)
S (0.155, 0.803, 0.255)
C (0.892, 0.367, 0.633)
S (0.803, 0.255, 0.155)
Ga (0.000, 0.000, 0.000)
C (0.600, 0.850, 0.142)
S (0.255, 0.155, 0.803)
H (0.899, 0.414, 0.707)
O (0.010, 0.916, 0.211)
H (0.142, 0.513, 0.958)
H (0.773, 0.444, 0.243)
H (0.444, 0.243, 0.773)
H (0.455, 0.002, 0.656)
H (0.200, 0.556, 0.415)
H (0.344, 0.545, 0.998)
H (0.556, 0.415, 0.200)
O (0.211, 0.010, 0.916)
H (0.586, 0.293, 0.101)
H (0.585, 0.800, 0.444)
C (0.633, 0.892, 0.367)
O (0.916, 0.211, 0.010)
H (0.293, 0.101, 0.586)
H (0.858, 0.487, 0.042)
O (0.084, 0.789, 0.990)
H (0.415, 0.200, 0.556)

**Energy relative to the elements**: -24.18 eV/f.u.
**Total magnetization**: 0.00 μB/cell

DFT (PBE) results for an optimized crystal structure of GaH15C4N2.

abc: 8.762 8.045 15.824
angles: 90.00 97.98 90.00
Fractional positions:
H (0.613, 0.270, 0.098)
H (0.474, 0.168, 0.203)
H (0.186, 0.204, 0.948)
H (0.198, 0.882, 0.651)
H (0.680, 0.115, 0.431)
H (0.320, 0.885, 0.569)
Ga (0.237, 0.312, 0.103)
N (0.461, 0.293, 0.189)
H (0.802, 0.382, 0.849)
H (0.388, 0.277, 0.477)
H (0.417, 0.978, 0.368)
C (0.782, 0.442, 0.909)
H (0.881, 0.409, 0.957)
C (0.402, 0.848, 0.347)
N (0.539, 0.707, 0.811)
H (0.119, 0.909, 0.543)
C (0.598, 0.348, 0.153)
H (0.289, 0.048, 0.012)
H (0.417, 0.522, 0.868)
Ga (0.763, 0.688, 0.897)
H (0.474, 0.332, 0.703)
H (0.082, 0.234, 0.733)
H (0.186, 0.296, 0.448)
H (0.612, 0.723, 0.523)
C (0.718, 0.683, 0.500)
H (0.387, 0.770, 0.402)
H (0.702, 0.161, 0.700)
H (0.802, 0.118, 0.349)
H (0.583, 0.022, 0.632)
H (0.526, 0.832, 0.797)
C (0.282, 0.183, 0.000)
H (0.814, 0.796, 0.052)
H (0.289, 0.452, 0.512)
H (0.583, 0.478, 0.132)
C (0.096, 0.199, 0.174)
H (0.082, 0.266, 0.233)
N (0.461, 0.207, 0.689)
H (0.349, 0.136, 0.786)
H (0.119, 0.591, 0.043)
H (0.918, 0.734, 0.767)
C (0.598, 0.152, 0.653)
H (0.019, 0.693, 0.364)
H (0.534, 0.330, 0.315)
C (0.402, 0.652, 0.847)
H (0.298, 0.839, 0.300)
H (0.130, 0.070, 0.191)
H (0.019, 0.807, 0.864)
H (0.918, 0.766, 0.267)
H (0.388, 0.223, 0.977)
H (0.711, 0.548, 0.488)
N (0.456, 0.383, 0.268)
C (0.782, 0.058, 0.409)
C (0.218, 0.558, 0.091)
H (0.613, 0.230, 0.598)
H (0.320, 0.615, 0.069)
H (0.387, 0.730, 0.902)
H (0.814, 0.704, 0.552)
H (0.466, 0.670, 0.685)
C (0.096, 0.301, 0.674)
C (0.218, 0.942, 0.591)
Ga (0.237, 0.188, 0.603)
H (0.870, 0.570, 0.309)
H (0.870, 0.930, 0.809)
C (0.904, 0.801, 0.826)
H (0.881, 0.091, 0.457)
C (0.282, 0.317, 0.500)
H (0.130, 0.430, 0.691)
H (0.198, 0.618, 0.151)
N (0.544, 0.883, 0.232)
H (0.981, 0.307, 0.636)
C (0.904, 0.699, 0.326)
H (0.349, 0.364, 0.286)
H (0.298, 0.661, 0.800)
H (0.526, 0.668, 0.297)
H (0.466, 0.830, 0.185)
N (0.539, 0.793, 0.311)
H (0.711, 0.952, 0.988)
H (0.651, 0.864, 0.214)
H (0.612, 0.777, 0.023)
H (0.534, 0.170, 0.815)
H (0.680, 0.385, 0.931)
N (0.456, 0.117, 0.768)
Ga (0.763, 0.812, 0.397)
N (0.544, 0.617, 0.732)
H (0.981, 0.193, 0.136)
C (0.718, 0.817, 0.000)
H (0.702, 0.339, 0.200)
H (0.651, 0.636, 0.714)

**Energy relative to the elements**: -3.36 eV/f.u.
**Total magnetization**: 0.08 μB/cell

DFT (PBE) results for an optimized crystal structure of GaH20C2S2NO14.

abc: 10.974 6.315 11.451
angles: 76.42 90.00 90.00
Fractional positions:
H (0.844, 0.506, 0.657)
H (0.144, 0.987, 0.838)
O (0.223, 0.107, 0.507)
O (0.541, 0.674, 0.483)
Ga (0.996, 0.744, 0.744)
H (0.186, 0.620, 0.637)
H (0.848, 0.936, 0.564)
O (0.708, 0.522, 0.616)
H (0.967, 0.101, 0.568)
H (0.813, 0.601, 0.890)
H (0.116, 0.805, 0.190)
O (0.836, 0.735, 0.828)
H (0.525, 0.613, 0.074)
O (0.734, 0.587, 0.398)
O (0.768, 0.384, 0.991)
H (0.313, 0.399, 0.110)
H (0.481, 0.561, 0.378)
O (0.208, 0.478, 0.384)
O (0.434, 0.504, 0.317)
C (0.502, 0.107, 0.684)
O (0.041, 0.326, 0.517)
H (0.988, 0.923, 0.133)
H (0.641, 0.444, 0.069)
H (0.545, 0.220, 0.608)
H (0.686, 0.380, 0.363)
H (0.403, 0.099, 0.669)
H (0.043, 0.054, 0.303)
O (0.723, 0.893, 0.493)
H (0.348, 0.064, 0.436)
S (0.810, 0.158, 0.993)
H (0.306, 0.131, 0.147)
O (0.067, 0.526, 0.886)
O (0.336, 0.265, 0.172)
H (0.543, 0.946, 0.697)
H (0.679, 0.109, 0.396)
O (0.948, 0.156, 0.983)
H (0.991, 0.483, 0.297)
H (0.997, 0.533, 0.135)
H (0.806, 0.869, 0.853)
O (0.056, 0.989, 0.810)
O (0.423, 0.037, 0.391)
O (0.777, 0.007, 0.108)
O (0.757, 0.087, 0.888)
H (0.488, 0.077, 0.867)
N (0.022, 0.810, 0.206)
H (0.616, 0.195, 0.810)
H (0.507, 0.953, 0.132)
C (0.465, 0.406, 0.788)
H (0.491, 0.517, 0.703)
H (0.045, 0.780, 0.392)
O (0.923, 0.963, 0.609)
O (0.234, 0.413, 0.602)
S (0.310, 0.842, 0.007)
O (0.277, 0.993, 0.892)
H (0.903, 0.901, 0.331)
O (0.257, 0.913, 0.112)
O (0.448, 0.844, 0.017)
H (0.344, 0.494, 0.343)
H (0.497, 0.467, 0.865)
S (0.678, 0.666, 0.497)
H (0.981, 0.439, 0.622)
C (0.002, 0.893, 0.316)
H (0.467, 0.899, 0.432)
O (0.268, 0.616, 0.009)
H (0.007, 0.047, 0.868)
O (0.656, 0.247, 0.335)
O (0.156, 0.753, 0.665)
H (0.141, 0.556, 0.931)
H (0.179, 0.891, 0.604)
O (0.556, 0.011, 0.190)
H (0.644, 0.013, 0.162)
H (0.366, 0.384, 0.792)
O (0.567, 0.474, 0.114)
O (0.934, 0.496, 0.683)
S (0.178, 0.334, 0.503)
N (0.522, 0.190, 0.794)
H (0.025, 0.387, 0.926)
H (0.866, 0.616, 0.208)
Ga (0.496, 0.256, 0.256)
C (0.965, 0.594, 0.212)

**Energy relative to the elements**: -48.29 eV/f.u.
**Total magnetization**: 0.00 μB/cell

DFT (PBE) results for an optimized crystal structure of GaH20C2S2NO14.

abc: 10.630 6.512 12.464
angles: 68.86 90.00 90.00
Fractional positions:
H (0.198, 0.758, 0.505)
O (0.818, 0.806, 0.438)
S (0.065, 0.834, 0.235)
S (0.428, 0.176, 0.764)
H (0.850, 0.136, 0.880)
O (0.097, 0.422, 0.091)
O (0.522, 0.392, 0.263)
S (0.935, 0.834, 0.735)
H (0.728, 0.080, 0.619)
C (0.772, 0.191, 0.921)
H (0.253, 0.708, 0.649)
H (0.447, 0.744, 0.887)
C (0.264, 0.810, 0.558)
H (0.639, 0.800, 0.030)
O (0.182, 0.806, 0.938)
O (0.505, 0.991, 0.351)
H (0.850, 0.044, 0.084)
H (0.404, 0.518, 0.173)
H (0.894, 0.504, 0.325)
H (0.596, 0.518, 0.673)
H (0.769, 0.934, 0.384)
H (0.694, 0.098, 0.084)
O (0.555, 0.165, 0.146)
H (0.361, 0.800, 0.530)
H (0.093, 0.817, 0.905)
H (0.747, 0.708, 0.149)
H (0.212, 0.359, 0.417)
C (0.736, 0.810, 0.058)
H (0.933, 0.499, 0.642)
H (0.061, 0.268, 0.116)
H (0.283, 0.686, 0.158)
H (0.684, 0.179, 0.878)
H (0.939, 0.268, 0.616)
O (0.824, 0.425, 0.376)
H (0.587, 0.187, 0.596)
H (0.802, 0.758, 0.005)
H (0.413, 0.187, 0.096)
O (0.677, 0.205, 0.566)
O (0.445, 0.165, 0.646)
H (0.067, 0.499, 0.142)
O (0.202, 0.847, 0.209)
H (0.563, 0.516, 0.358)
H (0.553, 0.744, 0.387)
O (0.001, 0.028, 0.147)
Ga (0.745, 0.508, 0.501)
H (0.222, 0.329, 0.841)
O (0.323, 0.205, 0.066)
O (0.999, 0.028, 0.647)
O (0.495, 0.991, 0.851)
H (0.717, 0.686, 0.658)
C (0.228, 0.191, 0.421)
H (0.316, 0.179, 0.378)
H (0.231, 0.934, 0.884)
H (0.437, 0.516, 0.858)
H (0.306, 0.098, 0.584)
O (0.011, 0.625, 0.228)
O (0.710, 0.163, 0.290)
H (0.150, 0.044, 0.584)
O (0.416, 0.586, 0.914)
H (0.272, 0.080, 0.119)
H (0.788, 0.359, 0.917)
O (0.989, 0.625, 0.728)
O (0.903, 0.422, 0.591)
H (0.150, 0.136, 0.380)
O (0.664, 0.603, 0.620)
O (0.584, 0.586, 0.414)
O (0.044, 0.836, 0.352)
O (0.290, 0.163, 0.790)
O (0.798, 0.847, 0.709)
O (0.336, 0.603, 0.120)
S (0.572, 0.176, 0.264)
H (0.907, 0.817, 0.405)
O (0.956, 0.836, 0.852)
Ga (0.255, 0.508, 0.001)
N (0.764, 0.042, 0.043)
H (0.106, 0.504, 0.825)
H (0.778, 0.329, 0.341)
O (0.478, 0.392, 0.763)
N (0.236, 0.042, 0.543)
O (0.176, 0.425, 0.876)

**Energy relative to the elements**: -48.45 eV/f.u.
**Total magnetization**: 0.00 μB/cell